Entry 1:
# LiMn6O12

A geometry-optimized LiMn6O12 structure (PBE+U, the Materials Project).

a b c (Å): 6.613 6.616 15.396
angles (deg): 82.72 82.88 82.66
Sites, in units of the cell vectors:
Li (0.000, 0.000, 0.000)
Li (0.000, 0.002, 0.337)
Li (0.344, 0.664, 0.661)
Mn (0.083, 0.414, 0.582)
Mn (0.090, 0.421, 0.918)
Mn (0.093, 0.425, 0.249)
Mn (0.242, 0.238, 0.752)
Mn (0.258, 0.256, 0.084)
Mn (0.261, 0.255, 0.416)
Mn (0.422, 0.088, 0.919)
Mn (0.427, 0.091, 0.584)
Mn (0.432, 0.091, 0.247)
Mn (0.574, 0.904, 0.417)
Mn (0.579, 0.911, 0.084)
Mn (0.587, 0.918, 0.753)
Mn (0.745, 0.742, 0.919)
Mn (0.750, 0.749, 0.248)
Mn (0.764, 0.762, 0.583)
Mn (0.909, 0.574, 0.753)
Mn (0.913, 0.576, 0.085)
Mn (0.915, 0.580, 0.415)
O (0.011, 0.687, 0.965)
O (0.016, 0.688, 0.293)
O (0.026, 0.674, 0.635)
O (0.146, 0.145, 0.890)
O (0.159, 0.153, 0.535)
O (0.160, 0.157, 0.206)
O (0.178, 0.510, 0.797)
O (0.182, 0.517, 0.460)
O (0.183, 0.520, 0.127)
O (0.314, 0.994, 0.365)
O (0.315, 0.990, 0.040)
O (0.326, 0.977, 0.703)
O (0.350, 0.363, 0.620)
O (0.356, 0.355, 0.964)
O (0.359, 0.356, 0.293)
O (0.483, 0.821, 0.875)
O (0.485, 0.821, 0.204)
O (0.486, 0.817, 0.553)
O (0.509, 0.181, 0.800)
O (0.519, 0.177, 0.461)
O (0.523, 0.182, 0.125)
O (0.641, 0.650, 0.717)
O (0.647, 0.645, 0.041)
O (0.652, 0.645, 0.366)
O (0.687, 0.025, 0.634)
O (0.690, 0.008, 0.965)
O (0.699, 0.017, 0.283)
O (0.821, 0.478, 0.877)
O (0.822, 0.492, 0.535)
O (0.825, 0.482, 0.205)
O (0.849, 0.841, 0.800)
O (0.850, 0.846, 0.123)
O (0.859, 0.851, 0.446)
O (0.979, 0.315, 0.703)
O (0.992, 0.313, 0.039)
O (0.996, 0.313, 0.367)

Results
Calculated total energy ... -7.03 eV per atom
Energy above the lowest structure with this stoichiometry ... 0.000 eV per atom
E_form ... -43.1 kcal/mol of atoms

***

Entry 2:
# Li4Mn3O7

A geometry-optimized Li4Mn3O7 structure (PBE+U, the Materials Project).

a b c (Å): 7.820 7.820 13.561
angles (deg): 119.39 119.39 21.24
Sites, in units of the cell vectors:
Li (0.000, 0.000, 0.000)
Li (0.070, 0.070, 0.350)
Li (0.206, 0.206, 0.064)
Li (0.362, 0.362, 0.795)
Li (0.500, 0.500, 0.500)
Li (0.638, 0.638, 0.205)
Li (0.794, 0.794, 0.936)
Li (0.930, 0.930, 0.650)
Mn (0.145, 0.145, 0.724)
Mn (0.286, 0.286, 0.427)
Mn (0.430, 0.430, 0.131)
Mn (0.570, 0.570, 0.869)
Mn (0.714, 0.714, 0.573)
Mn (0.855, 0.855, 0.276)
O (0.027, 0.027, 0.176)
O (0.114, 0.114, 0.536)
O (0.165, 0.165, 0.893)
O (0.259, 0.259, 0.245)
O (0.311, 0.311, 0.610)
O (0.396, 0.396, 0.982)
O (0.453, 0.453, 0.304)
O (0.547, 0.547, 0.696)
O (0.604, 0.604, 0.018)
O (0.689, 0.689, 0.390)
O (0.741, 0.741, 0.755)
O (0.835, 0.835, 0.107)
O (0.886, 0.886, 0.464)
O (0.973, 0.973, 0.824)

Results
Calculated total energy ... -6.41 eV per atom
Energy above the lowest structure with this stoichiometry ... 0.017 eV per atom
E_form ... -49.1 kcal/mol of atoms

***

Entry 3:
# Li4Mn3O7

A geometry-optimized Li4Mn3O7 structure (PBE+U, the Materials Project).

a b c (Å): 10.401 10.401 5.279
angles (deg): 95.81 95.81 150.29
Sites, in units of the cell vectors:
Li (0.000, 0.000, 0.000)
Li (0.069, 0.931, 0.500)
Li (0.216, 0.784, 0.500)
Li (0.359, 0.641, 0.500)
Li (0.500, 0.500, 0.500)
Li (0.641, 0.359, 0.500)
Li (0.784, 0.216, 0.500)
Li (0.931, 0.069, 0.500)
Mn (0.141, 0.859, 0.000)
Mn (0.286, 0.714, 0.000)
Mn (0.429, 0.571, 0.000)
Mn (0.571, 0.429, 0.000)
Mn (0.714, 0.286, 0.000)
Mn (0.859, 0.141, 0.000)
O (0.007, 0.437, 0.233)
O (0.134, 0.416, 0.765)
O (0.189, 0.338, 0.209)
O (0.280, 0.280, 0.764)
O (0.338, 0.189, 0.209)
O (0.416, 0.134, 0.765)
O (0.437, 0.007, 0.233)
O (0.563, 0.993, 0.767)
O (0.584, 0.866, 0.235)
O (0.662, 0.811, 0.791)
O (0.720, 0.720, 0.236)
O (0.811, 0.662, 0.791)
O (0.866, 0.584, 0.235)
O (0.993, 0.563, 0.767)

Results
Calculated total energy ... -6.42 eV per atom
Energy above the lowest structure with this stoichiometry ... 0.002 eV per atom
E_form ... -49.4 kcal/mol of atoms

***

Entry 4:
# LiMn16O32

A geometry-optimized LiMn16O32 structure (PBE+U, the Materials Project).

a b c (Å): 5.889 5.889 19.181
angles (deg): 97.32 97.32 58.85
Sites, in units of the cell vectors:
Li (0.000, 0.000, 0.000)
Mn (0.027, 0.534, 0.596)
Mn (0.031, 0.529, 0.098)
Mn (0.143, 0.143, 0.478)
Mn (0.261, 0.261, 0.754)
Mn (0.277, 0.277, 0.350)
Mn (0.278, 0.778, 0.349)
Mn (0.284, 0.778, 0.849)
Mn (0.404, 0.404, 0.224)
Mn (0.529, 0.031, 0.098)
Mn (0.529, 0.529, 0.596)
Mn (0.530, 0.530, 0.098)
Mn (0.534, 0.027, 0.596)
Mn (0.659, 0.659, 0.968)
Mn (0.778, 0.278, 0.349)
Mn (0.778, 0.284, 0.849)
Mn (0.913, 0.913, 0.718)
O (0.083, 0.083, 0.787)
O (0.097, 0.632, 0.784)
O (0.098, 0.098, 0.298)
O (0.133, 0.577, 0.291)
O (0.199, 0.698, 0.652)
O (0.222, 0.222, 0.653)
O (0.229, 0.676, 0.156)
O (0.238, 0.238, 0.158)
O (0.325, 0.325, 0.538)
O (0.350, 0.350, 0.047)
O (0.360, 0.862, 0.541)
O (0.380, 0.832, 0.041)
O (0.419, 0.978, 0.408)
O (0.454, 0.930, 0.911)
O (0.458, 0.458, 0.400)
O (0.487, 0.487, 0.909)
O (0.570, 0.570, 0.288)
O (0.577, 0.133, 0.291)
O (0.584, 0.584, 0.796)
O (0.632, 0.097, 0.784)
O (0.676, 0.229, 0.156)
O (0.698, 0.199, 0.652)
O (0.711, 0.711, 0.149)
O (0.732, 0.732, 0.655)
O (0.826, 0.826, 0.038)
O (0.830, 0.830, 0.543)
O (0.832, 0.380, 0.041)
O (0.862, 0.360, 0.541)
O (0.930, 0.454, 0.911)
O (0.975, 0.975, 0.899)
O (0.978, 0.419, 0.408)
O (0.982, 0.982, 0.409)

Results
Calculated total energy ... -7.00 eV per atom
Energy above the lowest structure with this stoichiometry ... 0.102 eV per atom
E_form ... -40.0 kcal/mol of atoms